## LaThN2 (GGA-PBE)

Data for a relaxed LaThN2 crystal.

Cell: 6.4345 6.4345 6.4345 Å, 33.44 33.44 33.44°
Fractional positions:
1 Th 0.5000 0.5000 0.5000
2 N 0.2418 0.2418 0.2418
3 N 0.7582 0.7582 0.7582
4 La 0.0000 0.0000 0.0000

Properties
DFT formation energy = -1684.1 meV/atom
VASP energy = -35.04 eV per formula unit